[1]
First-principles (PBE) data for crystalline Ta2TcMo at its relaxed geometry, as listed in the Materials Project.

## Properties
* SG: Fm-3m, No. 225
* calculated total energy: -46.3 eV/cell

Cell: 4.542 4.542 4.542 Å, 60.00 60.00 60.00°
Positions (direct):
Ta: 0.250 0.250 0.250
Ta: 0.750 0.750 0.750
Tc: 0.000 0.000 0.000
Mo: 0.500 0.500 0.500

[2]
First-principles (PBE) data for crystalline Lu2FeB6 at its relaxed geometry, as listed in the Materials Project.

## Properties
* SG: Pbam, No. 55
* calculated total energy: -255.3 eV/cell

Cell: 8.968 11.317 3.474 Å, 90.00 90.00 90.00°
Positions (direct):
Lu: 0.057 0.129 0.000
Lu: 0.177 0.415 0.000
Lu: 0.323 0.915 0.000
Lu: 0.443 0.629 0.000
Lu: 0.557 0.371 0.000
Lu: 0.677 0.085 0.000
Lu: 0.823 0.585 0.000
Lu: 0.943 0.871 0.000
Fe: 0.139 0.679 0.000
Fe: 0.361 0.179 0.000
Fe: 0.639 0.821 0.000
Fe: 0.861 0.321 0.000
B: 0.015 0.288 0.500
B: 0.054 0.567 0.500
B: 0.107 0.971 0.500
B: 0.132 0.815 0.500
B: 0.209 0.234 0.500
B: 0.248 0.581 0.500
B: 0.252 0.081 0.500
B: 0.291 0.734 0.500
B: 0.368 0.315 0.500
B: 0.393 0.471 0.500
B: 0.446 0.067 0.500
B: 0.485 0.788 0.500
B: 0.515 0.212 0.500
B: 0.554 0.933 0.500
B: 0.607 0.529 0.500
B: 0.632 0.685 0.500
B: 0.709 0.266 0.500
B: 0.748 0.919 0.500
B: 0.752 0.419 0.500
B: 0.791 0.766 0.500
B: 0.868 0.185 0.500
B: 0.893 0.029 0.500
B: 0.946 0.433 0.500
B: 0.985 0.712 0.500

[3]
First-principles (PBE) data for crystalline ZnNi2S4 at its relaxed geometry, as listed in the Materials Project.

## Properties
* SG: Fd-3m, No. 227
* energy above the lowest structure with this stoichiometry: 0.000 eV per atom

Cell: 6.874 6.874 6.874 Å, 60.00 60.00 60.00°
Positions (direct):
Zn: 0.125 0.125 0.125
Zn: 0.875 0.875 0.875
Ni: 0.000 0.500 0.500
Ni: 0.500 0.000 0.500
Ni: 0.500 0.500 0.000
Ni: 0.500 0.500 0.500
S: 0.264 0.264 0.264
S: 0.264 0.264 0.709
S: 0.264 0.709 0.264
S: 0.291 0.736 0.736
S: 0.709 0.264 0.264
S: 0.736 0.291 0.736
S: 0.736 0.736 0.291
S: 0.736 0.736 0.736

[4]
First-principles (PBE) data for crystalline YMg14BO16 at its relaxed geometry, as listed in the Materials Project.

## Properties
* SG: Pmmm, No. 47
* energy above the lowest structure with this stoichiometry: 0.007 eV per atom

Cell: 4.317 8.656 8.745 Å, 90.00 90.00 90.00°
Positions (direct):
Y: 0.000 0.000 0.000
Mg: 0.000 0.253 0.263
Mg: 0.000 0.253 0.737
Mg: 0.000 0.500 0.000
Mg: 0.000 0.500 0.500
Mg: 0.000 0.747 0.263
Mg: 0.000 0.747 0.737
Mg: 0.500 0.000 0.270
Mg: 0.500 0.000 0.730
Mg: 0.500 0.248 0.500
Mg: 0.500 0.262 0.000
Mg: 0.500 0.500 0.254
Mg: 0.500 0.500 0.746
Mg: 0.500 0.738 0.000
Mg: 0.500 0.752 0.500
B: 0.000 0.000 0.500
O: 0.000 0.000 0.249
O: 0.000 0.000 0.751
O: 0.000 0.260 0.000
O: 0.000 0.269 0.500
O: 0.000 0.500 0.247
O: 0.000 0.500 0.753
O: 0.000 0.731 0.500
O: 0.000 0.740 0.000
O: 0.500 0.000 0.000
O: 0.500 0.000 0.500
O: 0.500 0.248 0.249
O: 0.500 0.248 0.751
O: 0.500 0.500 0.000
O: 0.500 0.500 0.500
O: 0.500 0.752 0.249
O: 0.500 0.752 0.751